[1]
A relaxed V3P2H12C3N2O15 crystal, computed with PBE with a Hubbard U.

Output
total magnetic moment: 10.84 Bohr magnetons per cell
total DFT energy (no corrections): -918.46 eV per cell

Lattice parameters (Å, degrees): 10.668 16.905 8.497 90.00 90.00 90.00
Space group Pnma (No. 62)
Unique sites:
V (0.146, 0.069, 0.213) x8
V (0.222, 0.750, 0.820) x4
P (0.130, 0.586, 0.967) x8
H (0.045, 0.053, 0.678) x8
H (0.047, 0.177, 0.534) x8
H (0.062, 0.675, 0.310) x8
H (0.087, 0.099, 0.844) x8
H (0.090, 0.250, 0.864) x4
H (0.187, 0.094, 0.692) x8
H (0.203, 0.250, 0.711) x4
C (0.039, 0.177, 0.662) x8
C (0.101, 0.250, 0.735) x4
N (0.094, 0.102, 0.722) x8
O (0.015, 0.086, 0.051) x8
O (0.049, 0.039, 0.352) x8
O (0.110, 0.750, 0.694) x4
O (0.165, 0.545, 0.123) x8
O (0.168, 0.172, 0.254) x8
O (0.173, 0.674, 0.983) x8
O (0.194, 0.546, 0.825) x8
O (0.236, 0.593, 0.526) x8

[2]
A relaxed SrCoGe2O6 crystal, computed with PBE with a Hubbard U.

Output
total magnetic moment: 0.00 Bohr magnetons per cell
total DFT energy (no corrections): -258.92 eV per cell

Lattice parameters (Å, degrees): 7.002 8.011 9.799 103.30 101.00 92.90
Space group P-1 (No. 2)
Unique sites:
Sr (0.195, 0.027, 0.222) x2
Sr (0.195, 0.528, 0.722) x2
Co (0.408, 0.171, 0.578) x2
Co (0.409, 0.671, 0.079) x2
Ge (0.123, 0.302, 0.987) x2
Ge (0.123, 0.803, 0.487) x2
Ge (0.315, 0.456, 0.334) x2
Ge (0.316, 0.956, 0.834) x2
O (0.116, 0.204, 0.607) x2
O (0.116, 0.705, 0.107) x2
O (0.124, 0.341, 0.178) x2
O (0.125, 0.842, 0.677) x2
O (0.164, 0.572, 0.447) x2
O (0.165, 0.072, 0.947) x2
O (0.309, 0.923, 0.445) x2
O (0.310, 0.424, 0.947) x2
O (0.403, 0.287, 0.403) x2
O (0.403, 0.786, 0.902) x2
O (0.477, 0.589, 0.280) x2
O (0.478, 0.091, 0.781) x2